! PBE-GGA Sr2LiO12, optimized geometry; values from VASP
! Theoretical density ... 2.9 g/cm3
! SG ... No. 1
&SYSTEM
  ibrav = 0, nat = 15, ntyp = 3
/
ATOMIC_SPECIES
O 16.00 O.upf
Sr 87.62 Sr.upf
Li 6.94 Li.upf
CELL_PARAMETERS angstrom
4.4903 3.4908 1.2468
-4.0743 2.9019 -1.0216
0.7370 0.3054 8.1364
ATOMIC_POSITIONS crystal
O 0.8150 0.0249 0.1021
Sr 0.8087 0.8904 0.7763
O 0.5996 0.9862 0.2260
O 0.3471 0.9738 0.8937
O 0.4619 0.4147 0.4567
Li 0.4980 0.0448 0.5088
O 0.5073 0.6583 0.5552
O 0.4318 0.4856 0.9203
O 0.1086 0.6208 0.3365
Sr 0.1655 0.1098 0.2504
O 0.5049 0.3877 0.0197
O 0.2884 0.0922 0.7916
O 0.1428 0.8139 0.4790
O 0.8885 0.3934 0.6954
O 0.8445 0.2034 0.5526

***

! PBE-GGA NaMg14Zr, optimized geometry; values from VASP
! Theoretical density ... 2.0 g/cm3
! SG ... No. 38
&SYSTEM
  ibrav = 0, nat = 16, ntyp = 3
/
ATOMIC_SPECIES
Mg 24.30 Mg.upf
Na 22.99 Na.upf
Zr 91.22 Zr.upf
CELL_PARAMETERS angstrom
6.4745 -0.0320 0.0000
-3.2650 5.6551 0.0000
0.0000 0.0000 10.2453
ATOMIC_POSITIONS crystal
Mg 0.8306 0.6653 0.3755
Mg 0.8306 0.6653 0.8745
Mg 0.3324 0.6613 0.3757
Mg 0.8382 0.1691 0.8765
Mg 0.3324 0.1711 0.8743
Mg 0.6672 0.8340 0.6250
Mg 0.8382 0.1691 0.3735
Na 0.1691 0.8345 0.1250
Mg 0.6621 0.8360 0.1250
Zr 0.1719 0.3359 0.1250
Mg 0.6672 0.3332 0.6250
Mg 0.6621 0.3261 0.1250
Mg 0.3324 0.6613 0.8743
Mg 0.1670 0.8335 0.6250
Mg 0.3324 0.1711 0.3757
Mg 0.1663 0.3332 0.6250

***

! PBE-GGA CaTl6C2O6F2, optimized geometry; values from VASP
! Theoretical density ... 6.1 g/cm3
! SG ... No. 1
&SYSTEM
  ibrav = 0, nat = 17, ntyp = 5
/
ATOMIC_SPECIES
Tl 204.38 Tl.upf
C 12.01 C.upf
O 16.00 O.upf
Ca 40.08 Ca.upf
F 19.00 F.upf
CELL_PARAMETERS angstrom
7.4475 -0.0287 -0.0635
0.0404 6.7324 -4.2552
-0.0567 -0.3981 8.0410
ATOMIC_POSITIONS crystal
Tl 0.8597 0.7795 0.5947
C 0.8296 0.3234 0.1339
O 0.2150 0.7313 0.0379
Tl 0.1372 0.1119 0.3509
O 0.2714 0.5536 0.7028
Ca 0.5096 0.1551 0.0458
Tl 0.1697 0.3550 0.8979
Tl 0.6782 0.3082 0.6390
Tl 0.2742 0.6776 0.4540
C 0.2717 0.7236 0.8807
O 0.7622 0.2710 0.2474
O 0.3299 0.8929 0.9081
F 0.4426 0.0319 0.5030
O 0.7634 0.2301 0.9474
O 0.9497 0.4642 0.2010
Tl 0.5996 0.7451 0.1833
F 0.8634 0.9788 0.4390

***

! PBE-GGA Cs3Cu20Te13, optimized geometry; values from VASP
! Theoretical density ... 6.7 g/cm3
! SG ... No. 202
&SYSTEM
  ibrav = 0, nat = 36, ntyp = 3
/
ATOMIC_SPECIES
Te 127.60 Te.upf
Cu 63.55 Cu.upf
Cs 132.91 Cs.upf
CELL_PARAMETERS angstrom
4.9649 -5.3420 7.6191
6.1066 5.1189 6.9097
-3.0955 1.0180 10.0309
ATOMIC_POSITIONS crystal
Te 0.8684 0.3797 0.1316
Te 0.1316 0.3797 0.6203
Te 0.1316 0.6203 0.8684
Cu 0.8821 0.3698 0.6302
Te 0.3797 0.8684 0.6203
Te 0.1316 0.8684 0.3797
Cu 0.1179 0.6302 0.3698
Cu 0.3698 0.8821 0.1179
Cu 0.8821 0.1179 0.3698
Cs 0.5000 0.5000 0.5000
Cu 0.1179 0.3698 0.8821
Te 0.6203 0.3797 0.8684
Cu 0.3698 0.1179 0.6302
Te 0.3797 0.1316 0.8684
Te 0.3797 0.6203 0.1316
Cu 0.6302 0.8821 0.3698
Cu 0.1037 0.1037 0.6890
Te 0.6203 0.1316 0.3797
Cu 0.3110 0.8963 0.8963
Cs 0.2500 0.2500 0.2500
Cu 0.8963 0.8963 0.3110
Cu 0.8821 0.6302 0.1179
Cu 0.6302 0.1179 0.8821
Te 0.0000 0.0000 0.0000
Te 0.6203 0.8684 0.1316
Cu 0.3698 0.6302 0.8821
Cs 0.7500 0.7500 0.7500
Cu 0.8963 0.3110 0.8963
Cu 0.1037 0.1037 0.1037
Cu 0.1179 0.8821 0.6302
Cu 0.6302 0.3698 0.1179
Cu 0.6890 0.1037 0.1037
Te 0.8684 0.6203 0.3797
Cu 0.8963 0.8963 0.8963
Te 0.8684 0.1316 0.6203
Cu 0.1037 0.6890 0.1037

***

! PBE-GGA Tl3CO3F, optimized geometry; values from VASP
! Theoretical density ... 7.3 g/cm3
! SG ... No. 11
&SYSTEM
  ibrav = 0, nat = 16, ntyp = 4
/
ATOMIC_SPECIES
Tl 204.38 Tl.upf
O 16.00 O.upf
F 19.00 F.upf
C 12.01 C.upf
CELL_PARAMETERS angstrom
-5.0096 2.1139 -3.0814
-2.5953 -7.1413 -0.6799
-4.5552 -2.9285 5.3967
ATOMIC_POSITIONS crystal
Tl 0.2500 0.3343 0.4169
O 0.7500 0.4903 0.3248
O 0.7500 0.6937 0.9862
O 0.2500 0.3063 0.0138
Tl 0.7500 0.6657 0.5831
Tl 0.7500 0.0845 0.7507
F 0.0000 0.0000 0.5000
O 0.2500 0.1703 0.8101
Tl 0.7500 0.2534 0.1664
F 0.5000 0.0000 0.5000
O 0.2500 0.5097 0.6752
C 0.7500 0.6712 0.1669
C 0.2500 0.3288 0.8331
Tl 0.2500 0.9155 0.2493
O 0.7500 0.8297 0.1899
Tl 0.2500 0.7466 0.8336

***

! PBE-GGA Ti3H2O7, optimized geometry; values from VASP
! Theoretical density ... 1.4 g/cm3
! SG ... No. 2
&SYSTEM
  ibrav = 0, nat = 24, ntyp = 3
/
ATOMIC_SPECIES
O 16.00 O.upf
Ti 47.87 Ti.upf
H 1.01 H.upf
CELL_PARAMETERS angstrom
-1.9126 -2.4340 2.1625
4.0400 -7.2219 -4.6095
12.3566 2.9497 11.2078
ATOMIC_POSITIONS crystal
O 0.7463 0.2400 0.4940
O 0.7996 0.9614 0.5967
O 0.1898 0.8690 0.2704
O 0.2840 0.1594 0.5754
O 0.7310 0.5470 0.4603
Ti 0.7855 0.4798 0.5730
O 0.1735 0.6413 0.3493
H 0.9872 0.1952 0.7626
Ti 0.2301 0.2095 0.4594
O 0.2004 0.0386 0.4033
Ti 0.2145 0.5202 0.4270
O 0.7160 0.8406 0.4246
O 0.1926 0.3353 0.3825
O 0.8265 0.3587 0.6507
O 0.2690 0.4530 0.5397
Ti 0.7699 0.7905 0.5406
Ti 0.7899 0.1722 0.5995
O 0.8102 0.1310 0.7296
Ti 0.2101 0.8278 0.4005
O 0.8074 0.6647 0.6175
H 0.0978 0.9658 0.2749
O 0.2537 0.7600 0.5060
H 0.0128 0.8048 0.2374
H 0.9022 0.0342 0.7251

***

Which total DFT energy (no corrections) belongs to each record? In order, -78.2, -31.1, -89.9, -132.9, -86.8, -189.1 eV for the cell shown.